A relaxed Rb5Tc3S7 crystal. Source: the Materials Project database, functional meta-GGA r2SCAN.

Unit cell a=18.489 b=10.596 c=10.847 alpha=90.00 beta=125.90 gamma=90.00
Space group Cm (No. 8)
Symmetry-distinct sites (fractional):
Rb 0.000 0.000 0.000 x2
Rb 0.004 0.000 0.566 x2
Rb 0.138 0.288 0.135 x4
Rb 0.138 0.291 0.711 x4
Rb 0.320 0.500 0.597 x2
Rb 0.337 0.500 0.121 x2
Rb 0.457 0.192 0.241 x4
Tc 0.223 0.000 0.506 x2
Tc 0.346 0.124 0.511 x4
Tc 0.346 0.124 0.750 x4
Tc 0.469 0.000 0.754 x2
S 0.058 0.000 0.339 x2
S 0.130 0.500 0.916 x2
S 0.230 0.225 0.514 x4
S 0.233 0.000 0.739 x2
S 0.234 0.000 0.295 x2
S 0.348 0.295 0.902 x4
S 0.350 0.296 0.365 x4
S 0.459 0.000 0.521 x2
S 0.459 0.000 0.966 x2
S 0.461 0.228 0.745 x4

Calculated values
Crystal system   monoclinic
Calculated formation energy   -1.074 eV per atom

***

A relaxed Rb4Tc6S13 crystal. Source: the Materials Project database, functional meta-GGA r2SCAN.

Unit cell a=9.768 b=16.821 c=14.089 alpha=90.00 beta=99.06 gamma=90.00
Space group C2/c (No. 15)
Symmetry-distinct sites (fractional):
Rb 0.234 0.031 0.341 x8
Rb 0.236 0.358 0.381 x8
Tc 0.122 0.222 0.075 x8
Tc 0.137 0.212 0.892 x8
Tc 0.169 0.348 0.981 x8
S 0.000 0.146 0.750 x4
S 0.049 0.190 0.321 x8
S 0.049 0.281 0.547 x8
S 0.065 0.485 0.950 x8
S 0.099 0.098 0.989 x8
S 0.157 0.349 0.148 x8
S 0.188 0.332 0.816 x8

Calculated values
Crystal system   monoclinic
Calculated formation energy   -0.963 eV per atom

***

A relaxed Rb4Ti3S14 crystal. Source: the Materials Project database, functional meta-GGA r2SCAN.

Unit cell a=21.316 b=8.216 c=13.474 alpha=90.00 beta=113.24 gamma=90.00
Space group C2/c (No. 15)
Symmetry-distinct sites (fractional):
Rb 0.067 0.238 0.148 x8
Rb 0.202 0.320 0.612 x8
Ti 0.000 0.265 0.750 x4
Ti 0.167 0.255 0.916 x8
S 0.040 0.347 0.609 x8
S 0.069 0.090 0.917 x8
S 0.086 0.483 0.869 x8
S 0.096 0.166 0.711 x8
S 0.147 0.042 0.399 x8
S 0.173 0.485 0.339 x8
S 0.221 0.287 0.099 x8

Calculated values
Crystal system   monoclinic
Calculated formation energy   -1.157 eV per atom

***

A relaxed RbTlS2 crystal. Source: the Materials Project database, functional meta-GGA r2SCAN.

Unit cell a=11.378 b=11.378 c=15.845 alpha=90.00 beta=100.48 gamma=90.00
Space group C2/c (No. 15)
Symmetry-distinct sites (fractional):
Rb 0.036 0.189 0.388 x8
Rb 0.216 0.438 0.115 x8
Tl 0.102 0.187 0.659 x8
Tl 0.147 0.436 0.841 x8
S 0.000 0.050 0.750 x4
S 0.000 0.426 0.250 x4
S 0.047 0.313 0.940 x8
S 0.203 0.063 0.560 x8
S 0.238 0.188 0.250 x8

Calculated values
Crystal system   monoclinic
Calculated formation energy   -0.778 eV per atom

***

A relaxed RbTmS2 crystal. Source: the Materials Project database, functional meta-GGA r2SCAN.

Unit cell a=4.0017 b=4.0017 c=22.9195 alpha=90.00 beta=90.00 gamma=120.00
Space group R-3m (No. 166, hexagonal axes)
Symmetry-distinct sites (fractional):
Rb 0.0000 0.0000 0.0000 x3
Tm 0.0000 0.0000 0.5000 x3
S 0.0000 0.0000 0.2299 x6

Calculated values
Crystal system   trigonal
Calculated formation energy   -2.134 eV per atom

***

A relaxed Rb3VS4 crystal. Source: the Materials Project database, functional meta-GGA r2SCAN.

Unit cell a=9.469 b=11.020 c=9.458 alpha=90.00 beta=90.00 gamma=90.00
Space group Pnma (No. 62)
Symmetry-distinct sites (fractional):
Rb 0.047 0.043 0.208 x8
Rb 0.146 0.750 0.412 x4
V 0.220 0.750 0.984 x4
S 0.009 0.750 0.071 x4
S 0.171 0.089 0.549 x8
S 0.206 0.750 0.757 x4

Calculated values
Crystal system   orthorhombic
Calculated formation energy   -1.375 eV per atom

***

A relaxed RbV6S8 crystal. Source: the Materials Project database, functional meta-GGA r2SCAN.

Unit cell a=9.2819 b=9.2819 c=3.2418 alpha=90.00 beta=90.00 gamma=120.00
Space group P-3 (No. 147)
Symmetry-distinct sites (fractional):
Rb 0.0000 0.0000 0.0000 x1
V 0.1103 0.6216 0.7519 x6
S 0.0547 0.3509 0.7458 x6
S 0.3333 0.6667 0.2511 x2

Calculated values
Crystal system   trigonal
Calculated formation energy   -1.180 eV per atom

***

A relaxed Rb2WS4 crystal. Source: the Materials Project database, functional meta-GGA r2SCAN.

Unit cell a=9.776 b=7.091 c=12.589 alpha=90.00 beta=90.00 gamma=90.00
Space group Pnma (No. 62)
Symmetry-distinct sites (fractional):
Rb 0.040 0.250 0.169 x4
Rb 0.156 0.750 0.393 x4
W 0.246 0.750 0.072 x4
S 0.025 0.750 0.105 x4
S 0.159 0.000 0.642 x8
S 0.216 0.250 0.400 x4

Calculated values
Crystal system   orthorhombic
Calculated formation energy   -1.162 eV per atom